(1)
First-principles (PBE+U) data for LiFeSiO4 after structural relaxation, as listed in the Materials Project database.

a = 5.1804 Å, b = 10.3565 Å, c = 6.6878 Å
α = 90.00°, β = 90.00°, γ = 90.96°
Fractional positions:
Si (0.8200, 0.9099, 0.7500)
Si (0.1800, 0.0901, 0.2500)
Si (0.8200, 0.4099, 0.7500)
Si (0.1801, 0.5901, 0.2500)
O (0.3025, 0.6613, 0.0507)
O (0.8683, 0.6174, 0.2626)
O (0.8683, 0.1175, 0.2626)
O (0.7652, 0.5659, 0.7373)
O (0.3227, 0.1512, 0.4493)
O (0.3025, 0.1613, 0.0507)
O (0.2348, 0.9341, 0.2374)
O (0.1317, 0.3825, 0.7626)
O (0.6773, 0.3488, 0.9493)
O (0.6773, 0.8488, 0.9493)
O (0.6975, 0.3387, 0.5507)
O (0.1317, 0.8826, 0.7626)
O (0.2348, 0.4341, 0.2374)
O (0.3227, 0.6512, 0.4493)
O (0.6975, 0.8387, 0.5507)
O (0.7652, 0.0659, 0.7374)
Li (0.6943, 0.1528, 0.0000)
Li (0.3057, 0.3472, 0.5000)
Li (0.3057, 0.8471, 0.5000)
Li (0.6943, 0.6529, 0.0000)
Fe (0.3154, 0.8423, 0.0000)
Fe (0.6845, 0.1577, 0.5000)
Fe (0.3155, 0.3423, 0.0000)
Fe (0.6846, 0.6577, 0.5000)

Computed properties:
**Formation energy**: -2.515 eV/atom
**Total magnetic moment**: 0.00 μB per cell
**Density**: 2.9 g/cm3
**E**: -6.885 eV/atom
**Relative energy among the computed polymorphs**: 0.50 kcal/mol of atoms

(2)
First-principles (PBE+U) data for LiFeSiO4 after structural relaxation, as listed in the Materials Project database.

a = 11.3249 Å, b = 5.2759 Å, c = 5.9610 Å
α = 88.63°, β = 90.00°, γ = 90.00°
Fractional positions:
O (0.9517, 0.5648, 0.9942)
O (0.6561, 0.4601, 0.2292)
O (0.5451, 0.0772, 0.4991)
O (0.8413, 0.9981, 0.2746)
O (0.4370, 0.6193, 0.4910)
O (0.9370, 0.3807, 0.5090)
O (0.1592, 0.4971, 0.2183)
O (0.3413, 0.0019, 0.7254)
O (0.8423, 0.0097, 0.7346)
O (0.1561, 0.5399, 0.7708)
O (0.6592, 0.5029, 0.7817)
O (0.4517, 0.4352, 0.0058)
O (0.0650, 0.1172, 0.9740)
O (0.3423, 0.9903, 0.2654)
O (0.0451, 0.9228, 0.5009)
O (0.5650, 0.8828, 0.0260)
Fe (0.0770, 0.5687, 0.4879)
Fe (0.5770, 0.4313, 0.5121)
Fe (0.9234, 0.9209, 0.0046)
Fe (0.4234, 0.0791, 0.9954)
Si (0.4170, 0.9295, 0.4995)
Si (0.0834, 0.4268, 0.9916)
Si (0.5834, 0.5732, 0.0084)
Si (0.9170, 0.0705, 0.5005)
Li (0.1706, 0.9443, 0.7561)
Li (0.8290, 0.4312, 0.7789)
Li (0.3290, 0.5688, 0.2211)
Li (0.6706, 0.0557, 0.2439)

Computed properties:
**Formation energy**: -2.478 eV/atom
**Total magnetic moment**: 0.00 μB per cell
**Density**: 2.9 g/cm3
**E**: -6.849 eV/atom
**Relative energy among the computed polymorphs**: 1.35 kcal/mol of atoms

(3)
First-principles (PBE+U) data for Li5FeSi2O8 after structural relaxation, as listed in the Materials Project database.

a = 9.8133 Å, b = 9.8488 Å, c = 14.2235 Å
α = 90.00°, β = 90.00°, γ = 90.00°
Fractional positions:
Li (0.7515, 0.2821, 0.3649)
Li (0.0191, 0.7425, 0.2500)
Li (0.5223, 0.0048, 0.3905)
Li (0.9809, 0.2575, 0.7500)
Li (0.7237, 0.0246, 0.9930)
Li (0.7237, 0.0246, 0.5070)
Li (0.7763, 0.5246, 0.9930)
Li (0.9408, 0.6892, 0.7500)
Li (0.7529, 0.7288, 0.8799)
Li (0.2515, 0.2179, 0.8649)
Li (0.5191, 0.7575, 0.7500)
Li (0.4777, 0.9952, 0.6095)
Li (0.5592, 0.1892, 0.7500)
Li (0.2471, 0.2712, 0.3799)
Li (0.2515, 0.2179, 0.6351)
Li (0.7515, 0.2821, 0.1351)
Li (0.2237, 0.4754, 0.0070)
Li (0.2485, 0.7179, 0.8649)
Li (0.4777, 0.9952, 0.8905)
Li (0.2529, 0.7712, 0.3799)
Li (0.7471, 0.2288, 0.6201)
Li (0.7485, 0.7821, 0.3649)
Li (0.7485, 0.7821, 0.1351)
Li (0.2529, 0.7712, 0.1201)
Li (0.4408, 0.8108, 0.2500)
Li (0.2485, 0.7179, 0.6351)
Li (0.7471, 0.2288, 0.8799)
Li (0.4809, 0.2425, 0.2500)
Li (0.0223, 0.4952, 0.6095)
Li (0.0223, 0.4952, 0.8905)
Li (0.9777, 0.5048, 0.1095)
Li (0.2763, 0.9754, 0.0070)
Li (0.2763, 0.9754, 0.4930)
Li (0.2237, 0.4754, 0.4930)
Li (0.9777, 0.5048, 0.3905)
Li (0.0592, 0.3108, 0.2500)
Li (0.5223, 0.0048, 0.1095)
Li (0.7529, 0.7288, 0.6201)
Li (0.2471, 0.2712, 0.1201)
Li (0.7763, 0.5246, 0.5070)
Fe (0.4927, 0.5066, 0.3694)
Fe (0.0073, 0.0066, 0.3694)
Fe (0.5073, 0.4934, 0.6306)
Fe (0.4927, 0.5066, 0.1306)
Fe (0.9927, 0.9934, 0.8694)
Fe (0.0073, 0.0066, 0.1306)
Fe (0.5073, 0.4934, 0.8694)
Fe (0.9927, 0.9934, 0.6306)
O (0.8234, 0.9881, 0.1555)
O (0.6241, 0.1758, 0.0507)
O (0.3814, 0.1306, 0.5313)
O (0.3391, 0.8321, 0.7500)
O (0.3870, 0.1064, 0.7500)
O (0.6186, 0.8694, 0.0313)
O (0.1130, 0.6064, 0.7500)
O (0.2086, 0.6874, 0.2500)
O (0.8814, 0.3694, 0.4687)
O (0.6130, 0.8936, 0.2500)
O (0.9190, 0.1322, 0.9467)
O (0.8759, 0.6758, 0.0507)
O (0.6766, 0.4881, 0.1555)
O (0.5810, 0.6322, 0.5533)
O (0.0595, 0.1851, 0.1037)
O (0.6186, 0.8694, 0.4687)
O (0.4190, 0.3678, 0.4467)
O (0.4190, 0.3678, 0.0533)
O (0.8391, 0.6679, 0.2500)
O (0.6766, 0.4881, 0.3445)
O (0.3347, 0.9531, 0.1539)
O (0.9405, 0.8149, 0.6037)
O (0.0810, 0.8678, 0.4467)
O (0.6653, 0.0469, 0.8461)
O (0.8347, 0.5469, 0.8461)
O (0.5595, 0.3149, 0.6037)
O (0.9190, 0.1322, 0.5533)
O (0.3234, 0.5119, 0.6555)
O (0.3347, 0.9531, 0.3461)
O (0.7086, 0.8126, 0.7500)
O (0.8814, 0.3694, 0.0313)
O (0.2914, 0.1874, 0.2500)
O (0.5595, 0.3149, 0.8963)
O (0.1241, 0.3242, 0.5507)
O (0.6025, 0.5230, 0.7500)
O (0.0810, 0.8678, 0.0533)
O (0.6241, 0.1758, 0.4493)
O (0.0595, 0.1851, 0.3963)
O (0.8975, 0.0230, 0.7500)
O (0.1241, 0.3242, 0.9493)
O (0.3975, 0.4770, 0.2500)
O (0.1766, 0.0119, 0.6555)
O (0.3759, 0.8242, 0.9493)
O (0.8759, 0.6758, 0.4493)
O (0.1609, 0.3321, 0.7500)
O (0.6609, 0.1679, 0.2500)
O (0.4405, 0.6851, 0.1037)
O (0.1653, 0.4531, 0.1539)
O (0.1766, 0.0119, 0.8445)
O (0.1653, 0.4531, 0.3461)
O (0.3759, 0.8242, 0.5507)
O (0.8347, 0.5469, 0.6539)
O (0.5810, 0.6322, 0.9467)
O (0.9405, 0.8149, 0.8963)
O (0.3814, 0.1306, 0.9687)
O (0.4405, 0.6851, 0.3963)
O (0.6653, 0.0469, 0.6539)
O (0.8870, 0.3936, 0.2500)
O (0.1186, 0.6306, 0.5313)
O (0.3234, 0.5119, 0.8445)
O (0.1186, 0.6306, 0.9687)
O (0.1025, 0.9770, 0.2500)
O (0.8234, 0.9881, 0.3445)
O (0.7914, 0.3126, 0.7500)
Si (0.2766, 0.9836, 0.7500)
Si (0.0022, 0.7408, 0.5058)
Si (0.4978, 0.2408, 0.9942)
Si (0.2247, 0.5218, 0.2500)
Si (0.4978, 0.2408, 0.5058)
Si (0.0022, 0.7408, 0.9942)
Si (0.2234, 0.4836, 0.7500)
Si (0.7766, 0.5164, 0.2500)
Si (0.9978, 0.2592, 0.0058)
Si (0.7234, 0.0164, 0.2500)
Si (0.5022, 0.7592, 0.0058)
Si (0.5022, 0.7592, 0.4942)
Si (0.7247, 0.9782, 0.7500)
Si (0.9978, 0.2592, 0.4942)
Si (0.7753, 0.4782, 0.7500)
Si (0.2753, 0.0218, 0.2500)

Computed properties:
**Formation energy**: -2.554 eV/atom
**Total magnetic moment**: 40.02 μB per cell
**Density**: 2.7 g/cm3
**E**: -6.347 eV/atom
**Relative energy among the computed polymorphs**: 1.86 kcal/mol of atoms

(4)
First-principles (PBE+U) data for LiFeSiO4 after structural relaxation, as listed in the Materials Project database.

a = 8.6087 Å, b = 8.6087 Å, c = 8.6087 Å
α = 107.37°, β = 107.37°, γ = 107.37°
Fractional positions:
Si (0.6110, 0.2155, 0.4392)
Si (0.4392, 0.6110, 0.2155)
Si (0.7845, 0.5608, 0.3890)
Si (0.5608, 0.3890, 0.7845)
Si (0.2155, 0.4392, 0.6110)
Si (0.3890, 0.7845, 0.5608)
O (0.7044, 0.0199, 0.0493)
O (0.6509, 0.6664, 0.3517)
O (0.1144, 0.4349, 0.7424)
O (0.9507, 0.2956, 0.9801)
O (0.7424, 0.1144, 0.4349)
O (0.0493, 0.7044, 0.0199)
O (0.4349, 0.7424, 0.1144)
O (0.6563, 0.6000, 0.9241)
O (0.3437, 0.4000, 0.0759)
O (0.2576, 0.8856, 0.5651)
O (0.6483, 0.3491, 0.3336)
O (0.6664, 0.3517, 0.6509)
O (0.0199, 0.0493, 0.7044)
O (0.0759, 0.3437, 0.4000)
O (0.3517, 0.6509, 0.6664)
O (0.4000, 0.0759, 0.3437)
O (0.6000, 0.9241, 0.6563)
O (0.5651, 0.2576, 0.8856)
O (0.2956, 0.9801, 0.9507)
O (0.3491, 0.3336, 0.6483)
O (0.9801, 0.9507, 0.2956)
O (0.9241, 0.6563, 0.6000)
O (0.8856, 0.5651, 0.2576)
O (0.3336, 0.6483, 0.3491)
Li (0.7674, 0.9426, 0.5403)
Li (0.4597, 0.2326, 0.0574)
Li (0.5403, 0.7674, 0.9426)
Li (0.9426, 0.5403, 0.7674)
Li (0.0574, 0.4597, 0.2326)
Li (0.2326, 0.0574, 0.4597)
Fe (0.1267, 0.8909, 0.7137)
Fe (0.8733, 0.1091, 0.2863)
Fe (0.8909, 0.7137, 0.1267)
Fe (0.2863, 0.8733, 0.1091)
Fe (0.1091, 0.2863, 0.8733)
Fe (0.7137, 0.1267, 0.8909)

Computed properties:
**Formation energy**: -2.493 eV/atom
**Total magnetic moment**: 30.00 μB per cell
**Density**: 2.9 g/cm3
**E**: -6.864 eV/atom
**Relative energy among the computed polymorphs**: 1.00 kcal/mol of atoms

(5)
First-principles (PBE+U) data for Li2FeSiO5 after structural relaxation, as listed in the Materials Project database.

a = 6.4302 Å, b = 6.4302 Å, c = 4.4943 Å
α = 90.00°, β = 90.00°, γ = 90.00°
Fractional positions:
Li (0.5000, 0.0000, 0.0000)
Li (0.0000, 0.5000, 0.0000)
Li (0.0000, 0.0000, 0.0000)
Li (0.5000, 0.5000, 0.0000)
Fe (0.2500, 0.2500, 0.6069)
Fe (0.7500, 0.7500, 0.3932)
O (0.9532, 0.2500, 0.7218)
O (0.4532, 0.7500, 0.2783)
O (0.7500, 0.7500, 0.7861)
O (0.5468, 0.2500, 0.7218)
O (0.2500, 0.9532, 0.7218)
O (0.7500, 0.0468, 0.2782)
O (0.7500, 0.4532, 0.2783)
O (0.2500, 0.5468, 0.7218)
O (0.2500, 0.2500, 0.2138)
O (0.0468, 0.7500, 0.2782)
Si (0.2500, 0.7500, 0.5000)
Si (0.7500, 0.2500, 0.5000)

Computed properties:
**Formation energy**: -2.304 eV/atom
**Total magnetic moment**: 8.00 μB per cell
**Density**: 3.2 g/cm3
**E**: -6.389 eV/atom
**Relative energy among the computed polymorphs**: 0.13 kcal/mol of atoms

(6)
First-principles (PBE+U) data for LiFeSi2O6 after structural relaxation, as listed in the Materials Project database.

a = 18.7882 Å, b = 10.4308 Å, c = 5.3428 Å
α = 90.00°, β = 90.00°, γ = 90.00°
Fractional positions:
O (0.7145, 0.7668, 0.5748)
O (0.9307, 0.0415, 0.2765)
O (0.4638, 0.2669, 0.0246)
O (0.9336, 0.6293, 0.2518)
O (0.8158, 0.8737, 0.2931)
O (0.4336, 0.6293, 0.2482)
O (0.9638, 0.2669, 0.4754)
O (0.7145, 0.7332, 0.0748)
O (0.3205, 0.4575, 0.2253)
O (0.0693, 0.5415, 0.2235)
O (0.5664, 0.3707, 0.7518)
O (0.1794, 0.5425, 0.7253)
O (0.0362, 0.7331, 0.5246)
O (0.0664, 0.1293, 0.2482)
O (0.6795, 0.5425, 0.7747)
O (0.1842, 0.3737, 0.2070)
O (0.5362, 0.7669, 0.4754)
O (0.4336, 0.8707, 0.7482)
O (0.9638, 0.2331, 0.9754)
O (0.5693, 0.9585, 0.7765)
O (0.9336, 0.8707, 0.7518)
O (0.5664, 0.1293, 0.2518)
O (0.8158, 0.6263, 0.7930)
O (0.2145, 0.7332, 0.4252)
O (0.4307, 0.4585, 0.7235)
O (0.9307, 0.4585, 0.7765)
O (0.7855, 0.2332, 0.0748)
O (0.0693, 0.9585, 0.7235)
O (0.3206, 0.0425, 0.7253)
O (0.8206, 0.4575, 0.2747)
O (0.0362, 0.7669, 0.0246)
O (0.6794, 0.9575, 0.2747)
O (0.1842, 0.1263, 0.7069)
O (0.3158, 0.6263, 0.7069)
O (0.4638, 0.2331, 0.5246)
O (0.0664, 0.3707, 0.7482)
O (0.5362, 0.7331, 0.9754)
O (0.7855, 0.2668, 0.5748)
O (0.4307, 0.0415, 0.2235)
O (0.5693, 0.5415, 0.2765)
O (0.2145, 0.7668, 0.9252)
O (0.1795, 0.9575, 0.2253)
O (0.2855, 0.2332, 0.4252)
O (0.8205, 0.0425, 0.7747)
O (0.6842, 0.3737, 0.2931)
O (0.3158, 0.8737, 0.2070)
O (0.2855, 0.2668, 0.9252)
O (0.6842, 0.1263, 0.7930)
Si (0.4819, 0.3326, 0.7536)
Si (0.0181, 0.6674, 0.2536)
Si (0.9819, 0.1674, 0.2464)
Si (0.2683, 0.1669, 0.6965)
Si (0.2682, 0.3331, 0.1965)
Si (0.5181, 0.6674, 0.2464)
Si (0.4819, 0.1674, 0.2536)
Si (0.2317, 0.6669, 0.6965)
Si (0.7683, 0.3331, 0.3035)
Si (0.0181, 0.8326, 0.7536)
Si (0.9819, 0.3326, 0.7464)
Si (0.5181, 0.8326, 0.7464)
Si (0.7318, 0.6669, 0.8035)
Si (0.7317, 0.8331, 0.3035)
Si (0.2318, 0.8331, 0.1965)
Si (0.7682, 0.1669, 0.8035)
Li (0.8756, 0.9463, 0.0246)
Li (0.8756, 0.5537, 0.5246)
Li (0.1244, 0.0537, 0.9754)
Li (0.3756, 0.5537, 0.9754)
Li (0.6244, 0.4463, 0.0246)
Li (0.6244, 0.0537, 0.5246)
Li (0.1244, 0.4463, 0.4754)
Li (0.3756, 0.9463, 0.4754)
Fe (0.6251, 0.0386, 0.0244)
Fe (0.6251, 0.4614, 0.5244)
Fe (0.1251, 0.4614, 0.9756)
Fe (0.8749, 0.5386, 0.0244)
Fe (0.3749, 0.9614, 0.9756)
Fe (0.8749, 0.9614, 0.5244)
Fe (0.3749, 0.5386, 0.4756)
Fe (0.1251, 0.0386, 0.4756)

Computed properties:
**Formation energy**: -2.738 eV/atom
**Total magnetic moment**: 40.00 μB per cell
**Density**: 2.7 g/cm3
**E**: -7.192 eV/atom
**Relative energy among the computed polymorphs**: 0.42 kcal/mol of atoms

(7)
First-principles (PBE+U) data for LiFeSi2O6 after structural relaxation, as listed in the Materials Project database.

a = 7.7694 Å, b = 7.7694 Å, c = 9.9761 Å
α = 90.00°, β = 90.00°, γ = 93.25°
Fractional positions:
Si (0.8559, 0.6326, 0.2029)
Si (0.4531, 0.5469, 0.2500)
Si (0.5469, 0.4531, 0.7500)
Si (0.6326, 0.8559, 0.7971)
Si (0.9288, 0.9288, 0.0000)
Si (0.3674, 0.1441, 0.2971)
Si (0.1441, 0.3674, 0.7029)
Si (0.0712, 0.0712, 0.5000)
O (0.1047, 0.5007, 0.5860)
O (0.6634, 0.5881, 0.2720)
O (0.6201, 0.3808, 0.6085)
O (0.1268, 0.8938, 0.9561)
O (0.5007, 0.1047, 0.4140)
O (0.5881, 0.6634, 0.7280)
O (0.8953, 0.4993, 0.0860)
O (0.4993, 0.8953, 0.9140)
O (0.9961, 0.6298, 0.3205)
O (0.8938, 0.1268, 0.0439)
O (0.3702, 0.0039, 0.1795)
O (0.1062, 0.8732, 0.5439)
O (0.6298, 0.9961, 0.6795)
O (0.1690, 0.1376, 0.3603)
O (0.8624, 0.8310, 0.1397)
O (0.3366, 0.4119, 0.7720)
O (0.8310, 0.8624, 0.8603)
O (0.8732, 0.1062, 0.4561)
O (0.6192, 0.3799, 0.8915)
O (0.3799, 0.6192, 0.1085)
O (0.1376, 0.1690, 0.6397)
O (0.3808, 0.6201, 0.3915)
O (0.4119, 0.3366, 0.2280)
O (0.0039, 0.3702, 0.8205)
Li (0.3990, 0.3990, 0.0000)
Li (0.6010, 0.6010, 0.5000)
Li (0.8997, 0.1003, 0.2500)
Li (0.1003, 0.8997, 0.7500)
Fe (0.6620, 0.1535, 0.5444)
Fe (0.1535, 0.6620, 0.4556)
Fe (0.3380, 0.8465, 0.0444)
Fe (0.8465, 0.3380, 0.9556)

Computed properties:
**Formation energy**: -2.693 eV/atom
**Total magnetic moment**: 20.00 μB per cell
**Density**: 2.4 g/cm3
**E**: -7.147 eV/atom
**Relative energy among the computed polymorphs**: 1.45 kcal/mol of atoms

(8)
First-principles (PBE+U) data for LiFeSi2O6 after structural relaxation, as listed in the Materials Project database.

a = 7.0622 Å, b = 7.4188 Å, c = 7.4261 Å
α = 80.68°, β = 62.36°, γ = 77.28°
Fractional positions:
O (0.1455, 0.4375, 0.2020)
O (0.8271, 0.2899, 0.5481)
O (0.9704, 0.7598, 0.0693)
O (0.7170, 0.4215, 0.2100)
O (0.2476, 0.3182, 0.5264)
O (0.3653, 0.7244, 0.0488)
O (0.2830, 0.5785, 0.7900)
O (0.0296, 0.2402, 0.9307)
O (0.4514, 0.1663, 0.7584)
O (0.7524, 0.6818, 0.4736)
O (0.7930, 0.9496, 0.7648)
O (0.2410, 0.9611, 0.6818)
O (0.6347, 0.2756, 0.9512)
O (0.1729, 0.7101, 0.4519)
O (0.2070, 0.0504, 0.2352)
O (0.5486, 0.8337, 0.2416)
O (0.8545, 0.5625, 0.7980)
O (0.7590, 0.0389, 0.3182)
Si (0.2453, 0.1689, 0.7145)
Si (0.2002, 0.6092, 0.0261)
Si (0.7547, 0.8311, 0.2855)
Si (0.3160, 0.8368, 0.2485)
Si (0.6840, 0.1632, 0.7515)
Si (0.7998, 0.3908, 0.9739)
Fe (0.0000, 0.5000, 0.5000)
Fe (0.9417, 0.2147, 0.2602)
Fe (0.0583, 0.7853, 0.7398)
Li (0.6119, 0.7747, 0.7552)
Li (0.5000, 0.5000, 0.5000)
Li (0.3881, 0.2253, 0.2448)

Computed properties:
**Formation energy**: -2.726 eV/atom
**Total magnetic moment**: 15.00 μB per cell
**Density**: 3.2 g/cm3
**E**: -7.180 eV/atom
**Relative energy among the computed polymorphs**: 0.69 kcal/mol of atoms